1.
VASP calculation (GGA-PBE) on ZnAs2S4O8F12 after structural relaxation.

Calculated values
- energy of formation (kcal/mol of atoms) = -47.542
- space group = P2_1/c, No. 14

Cell and atoms, written as extended XYZ:
```
108
Lattice="8.820 0.000 0.000 0.000 14.048 0.000 -2.355 0.000 15.161" Properties=species:S:1:pos:R:3 pbc="T T T"
Zn 1.419 2.627 3.670
Zn 0.241 4.397 11.251
Zn 6.224 9.651 3.910
Zn 5.046 11.421 11.490
As -1.772 2.067 13.507
As -0.594 4.957 5.926
As 2.136 1.599 9.570
As 3.314 5.425 1.989
As 3.151 8.623 13.172
As 4.329 12.449 5.591
As 7.059 9.091 9.234
As 8.237 11.981 1.654
S -0.124 0.437 6.008
S -1.302 6.587 13.588
S 0.557 9.441 5.188
S -0.621 11.631 12.768
S 3.057 0.354 1.607
S 1.880 6.671 9.187
S 3.483 9.846 1.699
S 2.305 11.226 9.280
S 4.160 2.822 5.881
S 2.982 4.202 13.462
S 4.585 7.378 5.974
S 3.407 13.695 13.554
S 7.086 2.417 2.393
S 5.908 4.607 9.973
S 7.766 7.461 1.573
S 6.589 13.611 9.153
O -0.289 2.657 2.456
O -1.467 4.367 10.036
O -1.032 7.983 13.808
O 0.145 13.089 6.228
O 0.613 1.077 4.917
O -0.565 5.947 12.497
O 1.205 9.030 3.969
O 0.027 12.043 11.549
O 2.130 1.042 2.506
O 0.952 5.982 10.086
O 2.321 9.950 8.621
O 3.498 11.122 1.040
O 3.167 2.591 4.829
O 1.989 4.433 12.410
O 3.294 7.980 6.180
O 2.116 13.092 13.760
O 4.349 0.956 1.401
O 3.171 6.068 8.981
O 4.476 9.615 2.751
O 3.298 11.457 10.332
O 2.967 2.926 14.121
O 4.144 4.098 6.540
O 5.513 8.066 5.074
O 4.335 13.006 12.655
O 6.438 2.006 3.612
O 5.260 5.019 11.192
O 7.030 8.101 2.663
O 5.852 12.971 10.244
O 6.319 0.959 8.933
O 7.497 6.065 1.353
O 7.932 9.681 5.125
O 6.754 11.391 12.705
F -0.107 10.367 1.122
F -1.285 10.705 8.702
F -0.591 8.336 8.166
F 0.586 12.736 0.585
F -1.209 0.513 12.888
F -0.032 6.511 5.308
F -0.596 9.180 10.555
F 0.582 11.892 2.974
F -0.533 2.880 12.383
F 0.645 4.144 4.803
F -0.511 2.019 14.739
F 0.667 5.005 7.158
F 0.702 0.573 9.474
F 1.879 6.451 1.893
F 1.016 3.025 9.923
F 2.194 3.999 2.342
F 1.953 1.964 7.845
F 3.130 5.060 0.264
F 1.797 9.746 13.087
F 2.975 11.326 5.506
F 2.237 1.321 11.311
F 3.415 5.703 3.730
F 2.094 7.267 13.515
F 3.272 13.805 5.935
F 3.193 0.243 9.226
F 4.371 6.781 1.646
F 3.050 8.345 11.431
F 4.228 12.727 3.850
F 3.490 2.722 9.654
F 4.668 4.302 2.074
F 3.334 8.988 14.897
F 4.512 12.084 7.316
F 4.271 10.049 12.818
F 5.449 11.023 5.238
F 4.585 7.597 13.268
F 5.763 13.475 5.687
F 5.798 9.044 8.003
F 6.976 12.029 0.422
F 5.820 9.904 10.358
F 6.998 11.168 2.778
F 5.883 2.156 12.187
F 7.061 4.868 4.606
F 6.496 7.537 9.853
F 7.674 13.535 2.273
F 5.878 1.312 14.576
F 7.056 5.712 6.995
F 7.750 3.343 6.458
F 6.572 3.681 14.039
```

2.
VASP calculation (GGA-PBE) on Nd2CdGe2 after structural relaxation.

Calculated values
- energy of formation (kcal/mol of atoms) = -16.778
- space group = P4/mbm, No. 127

Cell and atoms, written as extended XYZ:
```
10
Lattice="7.512 0.000 0.000 0.000 7.512 0.000 0.000 0.000 4.359" Properties=species:S:1:pos:R:3 pbc="T T T"
Nd 1.348 2.408 0.000
Nd 2.408 6.164 0.000
Nd 5.104 1.348 0.000
Nd 6.164 5.104 0.000
Cd 0.000 0.000 2.180
Cd 3.756 3.756 2.180
Ge 0.902 4.658 2.180
Ge 2.854 0.902 2.180
Ge 4.658 6.610 2.180
Ge 6.610 2.854 2.180
```

3.
VASP calculation (GGA-PBE) on SnPbF4 after structural relaxation.

Calculated values
- energy of formation (kcal/mol of atoms) = -59.778
- space group = P4/nmm, No. 129

Cell and atoms, written as extended XYZ:
```
12
Lattice="4.368 0.000 0.000 0.000 4.368 0.000 0.000 0.000 11.085" Properties=species:S:1:pos:R:3 pbc="T T T"
Sn 1.092 1.092 1.583
Sn 3.276 3.276 9.502
Pb 1.092 1.092 6.861
Pb 3.276 3.276 4.224
F 1.092 1.092 3.705
F 1.092 3.276 2.233
F 1.092 3.276 5.543
F 1.092 3.276 8.853
F 3.276 1.092 2.233
F 3.276 1.092 5.543
F 3.276 1.092 8.853
F 3.276 3.276 7.380
```

4.
VASP calculation (GGA-PBE) on CdPt3 after structural relaxation.

Calculated values
- energy of formation (kcal/mol of atoms) = -1.191
- space group = R-3m, No. 166

Cell and atoms, written as extended XYZ:
```
12
Lattice="2.888 0.000 0.000 -1.444 2.501 0.000 0.000 0.000 27.539" Properties=species:S:1:pos:R:3 pbc="T T T"
Cd 0.000 0.000 0.000
Cd 0.000 1.667 18.360
Cd 1.444 0.834 9.180
Pt 0.000 0.000 6.862
Pt 0.000 0.000 13.770
Pt 0.000 0.000 20.677
Pt 0.000 1.667 4.590
Pt 0.000 1.667 11.498
Pt 0.000 1.667 25.221
Pt 1.444 0.834 2.318
Pt 1.444 0.834 16.041
Pt 1.444 0.834 22.949
```

Number 1: final energy -4.974 eV per atom. Number 2: final energy -4.669 eV per atom. Number 3: final energy -4.848 eV per atom. Number 4: final energy -4.836 eV per atom.